(1)
Material: CsFeF4
Method: DFT, r²SCAN
State: optimized geometry

a = 7.817 Å, b = 7.817 Å, c = 6.484 Å
α = 90.00°, β = 90.00°, γ = 90.00°
Space group P4/nmm (No. 129, origin choice 2)
Unique sites:
1 Cs 0.250 0.250 0.056 x2
2 Cs 0.250 0.750 0.000 x2
3 Fe 0.000 0.000 0.500 x4
4 F 0.003 0.750 0.549 x8
5 F 0.030 0.030 0.785 x8

Results
- E (eV/cell) = -274.9
- formation energy from the elements (eV per atom) = -2.785

(2)
Material: HfCo2
Method: DFT, r²SCAN
State: optimized geometry

a = 6.881 Å, b = 6.881 Å, c = 6.881 Å
α = 90.00°, β = 90.00°, γ = 90.00°
Space group Fd-3m (No. 227, origin choice 2)
Unique sites:
1 Hf 0.125 0.125 0.125 x8
2 Co 0.000 0.000 0.500 x16

Results
- E (eV/cell) = -579.9
- formation energy from the elements (eV per atom) = -0.288

(3)
Material: ErAlFe
Method: DFT, r²SCAN
State: optimized geometry

a = 8.716 Å, b = 5.367 Å, c = 9.170 Å
α = 90.00°, β = 90.00°, γ = 90.00°
Space group Amm2 (No. 38)
Unique sites:
1 Er 0.176 0.000 0.000 x4
2 Er 0.304 0.000 0.335 x4
3 Al 0.237 0.000 0.673 x4
4 Al 0.500 0.247 0.082 x4
5 Fe 0.000 0.000 0.496 x2
6 Fe 0.000 0.233 0.258 x4
7 Fe 0.500 0.000 0.834 x2

Results
- E (eV/cell) = -447.8
- formation energy from the elements (eV per atom) = -0.301

(4)
Material: ScAl6Fe6
Method: DFT, r²SCAN
State: optimized geometry

a = 12.001 Å, b = 4.928 Å, c = 8.469 Å
α = 90.00°, β = 134.75°, γ = 90.00°
Space group C2/m (No. 12)
Unique sites:
1 Sc 0.000 0.000 0.000 x2
2 Al 0.000 0.000 0.334 x4
3 Al 0.156 0.500 0.656 x4
4 Al 0.185 0.500 0.185 x4
5 Fe 0.000 0.500 0.241 x4
6 Fe 0.250 0.250 0.000 x4
7 Fe 0.250 0.250 0.500 x4

Results
- E (eV/cell) = -285.4
- formation energy from the elements (eV per atom) = -0.339

(5)
Material: HoIn5Co
Method: DFT, r²SCAN
State: optimized geometry

a = 4.537 Å, b = 4.537 Å, c = 7.426 Å
α = 90.00°, β = 90.00°, γ = 90.00°
Space group P4/mmm (No. 123)
Unique sites:
1 Ho 0.000 0.000 0.000 x1
2 In 0.000 0.500 0.307 x4
3 In 0.500 0.500 0.000 x1
4 Co 0.000 0.000 0.500 x1

Results
- E (eV/cell) = -161.1
- formation energy from the elements (eV per atom) = -0.299

(6)
Material: K3BrCl2
Method: DFT, r²SCAN
State: optimized geometry

a = 4.5216 Å, b = 4.5216 Å, c = 11.0913 Å
α = 90.00°, β = 90.00°, γ = 120.00°
Space group P-3m1 (No. 164)
Unique sites:
1 K 0.0000 0.0000 0.0000 x1
2 K 0.3333 0.6667 0.6770 x2
3 Br 0.0000 0.0000 0.5000 x1
4 Cl 0.3333 0.6667 0.1617 x2

Results
- E (eV/cell) = -56.2
- formation energy from the elements (eV per atom) = -2.105

(7)
Material: CaGeO3
Method: DFT, r²SCAN
State: optimized geometry

a = 5.1560 Å, b = 5.1560 Å, c = 15.1795 Å
α = 90.00°, β = 90.00°, γ = 120.00°
Space group R-3 (No. 148, hexagonal axes)
Unique sites:
1 Ca 0.0000 0.0000 0.1354 x6
2 Ge 0.0000 0.0000 0.3407 x6
3 O 0.0098 0.6115 0.9287 x18

Results
- E (eV/cell) = -307.0
- formation energy from the elements (eV per atom) = -2.467

(8)
Material: EuCu2
Method: DFT, r²SCAN
State: optimized geometry

a = 4.356 Å, b = 7.156 Å, c = 7.398 Å
α = 90.00°, β = 90.00°, γ = 90.00°
Space group Imma (No. 74)
Unique sites:
1 Eu 0.000 0.250 0.047 x4
2 Cu 0.000 0.061 0.664 x8

Results
- E (eV/cell) = -242.1
- formation energy from the elements (eV per atom) = -0.108

(9)
Material: Ca2MgC3O9
Method: DFT, r²SCAN
State: optimized geometry

a = 4.8744 Å, b = 4.8744 Å, c = 16.2908 Å
α = 90.00°, β = 90.00°, γ = 120.00°
Space group P-3 (No. 147)
Unique sites:
1 Ca 0.0000 0.0000 0.0000 x1
2 Ca 0.0000 0.0000 0.5000 x1
3 Ca 0.3333 0.6667 0.3196 x2
4 Mg 0.3333 0.6667 0.8388 x2
5 C 0.0000 0.0000 0.2348 x2
6 C 0.3333 0.6667 0.0877 x2
7 C 0.3333 0.6667 0.5888 x2
8 O 0.0430 0.7594 0.7641 x6
9 O 0.0523 0.6309 0.0868 x6
10 O 0.0651 0.4064 0.5887 x6

Results
- polymorph energy (0 for the lowest one) (eV per formula unit) = 0.00
- E (eV/cell) = -274.1
- formation energy from the elements (eV per atom) = -2.346

(10)
Material: V2B3
Method: DFT, r²SCAN
State: optimized geometry

a = 3.026 Å, b = 18.357 Å, c = 2.973 Å
α = 90.00°, β = 90.00°, γ = 90.00°
Space group Cmcm (No. 63)
Unique sites:
1 V 0.000 0.071 0.250 x4
2 V 0.000 0.205 0.750 x4
3 B 0.000 0.331 0.750 x4
4 B 0.000 0.382 0.250 x4
5 B 0.000 0.476 0.250 x4

Results
- E (eV/cell) = -217.5
- formation energy from the elements (eV per atom) = -0.833

(11)
Material: TmCuSn
Method: DFT, r²SCAN
State: optimized geometry

a = 4.4574 Å, b = 4.4574 Å, c = 7.2786 Å
α = 90.00°, β = 90.00°, γ = 120.00°
Space group P6_3/mmc (No. 194)
Unique sites:
1 Tm 0.0000 0.0000 0.0000 x2
2 Cu 0.3333 0.6667 0.2500 x2
3 Sn 0.3333 0.6667 0.7500 x2

Results
- E (eV/cell) = -144.9
- formation energy from the elements (eV per atom) = -0.587

(12)
Material: PrCrO4
Method: DFT, r²SCAN
State: optimized geometry

a = 6.449 Å, b = 10.303 Å, c = 10.557 Å
α = 90.00°, β = 90.00°, γ = 90.00°
Space group Fddd (No. 70, origin choice 2)
Unique sites:
1 Pr 0.125 0.125 0.125 x8
2 Cr 0.125 0.125 0.625 x8
3 O 0.044 0.281 0.958 x32

Results
- E (eV/cell) = -680.7
- formation energy from the elements (eV per atom) = -2.786

(13)
Material: DyTmHg2
Method: DFT, r²SCAN
State: optimized geometry

a = 7.332 Å, b = 7.332 Å, c = 7.332 Å
α = 90.00°, β = 90.00°, γ = 90.00°
Space group Fm-3m (No. 225)
Unique sites:
1 Dy 0.000 0.000 0.000 x4
2 Tm 0.000 0.000 0.500 x4
3 Hg 0.250 0.250 0.250 x8

Results
- E (eV/cell) = -672.6
- formation energy from the elements (eV per atom) = -0.575

(14)
Material: Tb4Bi3
Method: DFT, r²SCAN
State: optimized geometry

a = 9.390 Å, b = 9.390 Å, c = 9.390 Å
α = 90.00°, β = 90.00°, γ = 90.00°
Space group I-43d (No. 220)
Unique sites:
1 Tb 0.073 0.427 0.573 x16
2 Bi 0.000 0.250 0.875 x12

Results
- E (eV/cell) = -1226.8
- formation energy from the elements (eV per atom) = -0.899

(15)
Material: EuH2
Method: DFT, r²SCAN
State: optimized geometry

a = 4.0006 Å, b = 4.0006 Å, c = 5.4827 Å
α = 90.00°, β = 90.00°, γ = 120.00°
Space group P6_3/mmc (No. 194)
Unique sites:
1 Eu 0.3333 0.6667 0.2500 x2
2 H 0.0000 0.0000 0.0000 x2
3 H 0.3333 0.6667 0.7500 x2

Results
- E (eV/cell) = -94.8
- formation energy from the elements (eV per atom) = -0.651

(16)
Material: ZrBeB
Method: DFT, r²SCAN
State: optimized geometry

a = 3.4133 Å, b = 3.4133 Å, c = 3.4960 Å
α = 90.00°, β = 90.00°, γ = 120.00°
Space group P-6m2 (No. 187)
Unique sites:
1 Zr 0.0000 0.0000 0.0000 x1
2 Be 0.3333 0.6667 0.5000 x1
3 B 0.6667 0.3333 0.5000 x1

Results
- E (eV/cell) = -36.3
- formation energy from the elements (eV per atom) = -0.634

(17)
Material: Ho3Ge3Ir2
Method: DFT, r²SCAN
State: optimized geometry

a = 4.290 Å, b = 10.378 Å, c = 14.201 Å
α = 90.00°, β = 90.00°, γ = 90.00°
Space group Cmcm (No. 63)
Unique sites:
1 Ho 0.000 0.085 0.110 x8
2 Ho 0.000 0.357 0.250 x4
3 Ge 0.000 0.344 0.750 x4
4 Ge 0.000 0.376 0.036 x8
5 Ir 0.000 0.200 0.602 x8

Results
- E (eV/cell) = -1013.3
- formation energy from the elements (eV per atom) = -1.042

(18)
Material: CeHgAu2
Method: DFT, r²SCAN
State: optimized geometry

a = 7.138 Å, b = 7.138 Å, c = 7.138 Å
α = 90.00°, β = 90.00°, γ = 90.00°
Space group Fm-3m (No. 225)
Unique sites:
1 Ce 0.000 0.000 0.000 x4
2 Hg 0.000 0.000 0.500 x4
3 Au 0.250 0.250 0.250 x8

Results
- E (eV/cell) = -735.5
- formation energy from the elements (eV per atom) = -0.626

(19)
Material: Sc5Si7Pt9
Method: DFT, r²SCAN
State: optimized geometry

a = 9.9709 Å, b = 9.9709 Å, c = 3.8990 Å
α = 90.00°, β = 90.00°, γ = 120.00°
Space group P-6 (No. 174)
Unique sites:
1 Sc 0.0000 0.0000 0.0000 x1
2 Sc 0.2079 0.7714 0.0000 x3
3 Sc 0.6667 0.3333 0.5000 x1
4 Si 0.0178 0.2391 0.5000 x3
5 Si 0.3333 0.6667 0.5000 x1
6 Si 0.4772 0.3838 0.0000 x3
7 Pt 0.0489 0.5054 0.5000 x3
8 Pt 0.2496 0.2323 0.5000 x3
9 Pt 0.3861 0.1169 0.0000 x3

Results
- E (eV/cell) = -606.8
- formation energy from the elements (eV per atom) = -1.191

(20)
Material: Ho2InAu2
Method: DFT, r²SCAN
State: optimized geometry

a = 7.867 Å, b = 7.867 Å, c = 3.706 Å
α = 90.00°, β = 90.00°, γ = 90.00°
Space group P4/mbm (No. 127)
Unique sites:
1 Ho 0.170 0.330 0.000 x4
2 In 0.000 0.000 0.500 x2
3 Au 0.129 0.629 0.500 x4

Results
- E (eV/cell) = -388.3
- formation energy from the elements (eV per atom) = -0.926

(21)
Material: ZnI2O6
Method: DFT, r²SCAN
State: optimized geometry

a = 5.494 Å, b = 5.096 Å, c = 9.422 Å
α = 90.00°, β = 90.47°, γ = 90.00°
Space group P2_1 (No. 4)
Unique sites:
1 Zn 0.232 0.000 0.245 x2
2 I 0.263 0.437 0.567 x2
3 I 0.269 0.920 0.900 x2
4 O 0.012 0.767 0.376 x2
5 O 0.094 0.718 0.777 x2
6 O 0.151 0.789 0.065 x2
7 O 0.338 0.224 0.419 x2
8 O 0.448 0.235 0.104 x2
9 O 0.469 0.280 0.694 x2

Results
- E (eV/cell) = -199.8
- formation energy from the elements (eV per atom) = -0.671